SmCO4 | Materials Project | PBE | relaxed; symmetry = P-6; formation energy = -2.52 eV per atom
1.0
12.376 0.000 0.000
-6.188 10.718 0.000
0.000 0.000 9.822
Sm C O
18 18 72
Cartesian
-2.113 5.877 2.357 Sm
-2.113 5.877 7.465 Sm
-0.041 2.453 2.522 Sm
-0.041 2.453 7.300 Sm
-4.043 9.527 2.522 Sm
-4.043 9.527 7.300 Sm
4.016 2.407 2.518 Sm
4.016 2.407 7.304 Sm
-0.042 9.610 2.357 Sm
-0.042 9.610 7.465 Sm
2.155 5.950 2.357 Sm
2.155 5.950 7.465 Sm
4.084 9.456 2.522 Sm
4.084 9.456 7.300 Sm
8.284 2.274 2.518 Sm
8.284 2.274 7.304 Sm
6.265 6.037 2.518 Sm
6.265 6.037 7.304 Sm
-0.989 4.981 4.911 C
1.335 1.892 0.000 C
1.811 1.233 4.911 C
-0.133 4.970 0.000 C
-1.817 8.348 0.000 C
-1.380 9.084 4.911 C
3.908 3.884 0.000 C
2.369 7.371 4.911 C
1.950 8.118 0.000 C
4.254 4.604 4.911 C
6.262 1.383 4.911 C
7.059 1.442 0.000 C
10.070 0.210 0.000 C
7.598 5.392 0.000 C
8.048 4.732 4.911 C
10.403 0.952 4.911 C
6.350 8.533 4.911 C
7.159 8.616 0.000 C
0.000 0.000 2.421 O
0.000 0.000 7.401 O
-4.011 7.175 3.030 O
-4.011 7.175 6.792 O
-4.948 9.244 4.911 O
-4.522 9.718 0.000 O
0.033 1.943 0.000 O
0.656 1.811 4.911 O
-1.661 6.090 4.911 O
-0.679 4.445 3.782 O
-0.679 4.445 6.040 O
-1.247 5.635 0.000 O
-2.363 8.043 1.132 O
-2.363 8.043 8.690 O
2.384 0.950 3.785 O
2.384 0.950 6.037 O
1.943 1.884 1.137 O
1.943 1.884 8.685 O
0.404 4.650 1.132 O
0.404 4.650 8.690 O
-1.999 9.083 3.782 O
-1.999 9.083 6.040 O
1.980 3.658 3.030 O
1.980 3.658 6.792 O
0.000 7.145 2.538 O
0.000 7.145 7.284 O
4.089 0.098 1.902 O
4.089 0.098 7.920 O
-0.685 8.980 0.000 O
-0.083 9.112 4.911 O
1.744 6.234 4.911 O
1.931 6.821 0.000 O
4.511 2.738 0.000 O
4.202 3.306 4.911 O
3.600 4.419 1.131 O
3.600 4.419 8.691 O
5.705 1.091 3.780 O
5.705 1.091 6.042 O
1.959 8.743 1.132 O
1.959 8.743 8.690 O
2.678 7.908 3.782 O
2.678 7.908 6.040 O
6.749 0.908 1.131 O
6.749 0.908 8.691 O
4.280 5.232 3.780 O
4.280 5.232 6.042 O
2.031 10.604 3.030 O
2.031 10.604 6.792 O
6.188 3.573 2.393 O
6.188 3.573 7.429 O
4.228 7.128 1.902 O
4.228 7.128 7.920 O
7.412 1.986 4.911 O
7.750 2.537 0.000 O
6.304 5.443 0.000 O
6.950 5.426 4.911 O
4.489 9.775 0.000 O
9.774 0.741 1.137 O
9.774 0.741 8.685 O
4.291 10.381 4.911 O
5.818 8.179 3.785 O
5.818 8.179 6.037 O
8.579 4.396 3.780 O
8.579 4.396 6.042 O
10.362 1.590 3.785 O
10.362 1.590 6.037 O
8.215 5.391 1.131 O
8.215 5.391 8.691 O
6.848 8.094 1.137 O
6.848 8.094 8.685 O
10.247 3.492 1.902 O
10.247 3.492 7.920 O

=====

Nd4Sc3Fe25B2 | Materials Project | PBE | relaxed; symmetry = Cmm2; formation energy = -0.08 eV per atom
1.0
6.283 -6.306 0.000
6.283 6.306 0.000
0.000 0.000 12.247
Nd Sc Fe B
8 6 50 4
Cartesian
6.283 4.498 0.000 Nd
6.283 3.340 6.288 Nd
3.303 0.000 0.080 Nd
4.481 0.000 6.229 Nd
8.086 0.000 6.229 Nd
9.264 0.000 0.080 Nd
6.283 -3.340 6.288 Nd
6.283 -4.498 0.000 Nd
6.283 4.009 3.198 Sc
3.982 0.000 9.329 Sc
3.992 0.000 3.102 Sc
8.575 0.000 3.102 Sc
8.585 0.000 9.329 Sc
6.283 -4.009 3.198 Sc
0.000 0.000 4.857 Fe
0.000 0.000 7.588 Fe
3.142 3.153 0.062 Fe
3.142 3.153 6.230 Fe
2.448 2.076 10.181 Fe
2.514 2.085 2.219 Fe
2.112 1.337 7.762 Fe
2.140 1.322 4.700 Fe
1.215 0.000 9.799 Fe
1.280 0.000 2.626 Fe
4.207 2.522 4.073 Fe
4.234 2.543 8.383 Fe
6.283 3.985 9.221 Fe
4.982 2.172 10.791 Fe
4.969 2.151 1.606 Fe
2.112 -1.337 7.762 Fe
2.140 -1.322 4.700 Fe
2.448 -2.076 10.181 Fe
2.514 -2.085 2.219 Fe
6.283 1.316 8.752 Fe
6.283 1.282 3.689 Fe
7.585 2.172 10.791 Fe
7.598 2.151 1.606 Fe
8.333 2.543 8.383 Fe
8.359 2.522 4.073 Fe
3.142 -3.153 0.062 Fe
3.142 -3.153 6.230 Fe
6.283 0.000 1.462 Fe
6.283 0.000 10.958 Fe
4.207 -2.522 4.073 Fe
4.234 -2.543 8.383 Fe
4.969 -2.151 1.606 Fe
4.982 -2.172 10.791 Fe
6.283 -1.282 3.689 Fe
6.283 -1.316 8.752 Fe
10.053 2.085 2.219 Fe
10.119 2.076 10.181 Fe
10.427 1.322 4.700 Fe
10.455 1.337 7.762 Fe
7.598 -2.151 1.606 Fe
7.585 -2.172 10.791 Fe
6.283 -3.985 9.221 Fe
8.333 -2.543 8.383 Fe
8.359 -2.522 4.073 Fe
11.286 0.000 2.626 Fe
11.352 0.000 9.799 Fe
10.427 -1.322 4.700 Fe
10.455 -1.337 7.762 Fe
10.053 -2.085 2.219 Fe
10.119 -2.076 10.181 Fe
1.575 0.000 6.227 B
6.283 1.566 0.084 B
6.283 -1.566 0.084 B
10.991 0.000 6.227 B

=====

BePdO3 | Materials Project | PBE | relaxed; symmetry = Pm-3m; formation energy = -0.85 eV per atom
1.0
3.498 0.000 0.000
0.000 3.498 0.000
0.000 0.000 3.498
Be Pd O
1 1 3
Cartesian
0.000 0.000 0.000 Be
1.749 1.749 1.749 Pd
0.000 0.000 1.749 O
0.000 1.749 0.000 O
1.749 0.000 0.000 O